(1)
CsSO4 | r²SCAN | relaxed

DFT total energy (eV per atom): -11.056
Magnetic moment (Bohr magnetons per cell): 4.01
Density (g/cm3): 3.4

a = 7.8348 Å, b = 8.0915 Å, c = 7.9566 Å
α = 90.00°, β = 117.51°, γ = 90.00°
Closest atoms and distances in Å follow each position.
Sites, in units of the cell vectors:
Cs  0.2502  0.1308  0.2498  12 O 3.12-3.44
Cs  0.2502  0.3692  0.7498  12 O 3.12-3.44
Cs  0.7498  0.6308  0.2502  12 O 3.12-3.44
Cs  0.7498  0.8692  0.7502  12 O 3.12-3.44
S  0.2497  0.6547  0.2502  4 O 1.45-1.50
S  0.2497  0.8453  0.7502  4 O 1.45-1.50
S  0.7503  0.1547  0.2498  4 O 1.45-1.50
S  0.7503  0.3453  0.7498  4 O 1.45-1.50
O  0.0800  0.7471  0.6390  1 S 1.45
O  0.0800  0.7529  0.1390  1 S 1.45
O  0.2126  0.5304  0.3690  1 S 1.50
O  0.2126  0.9696  0.8690  1 S 1.50
O  0.2889  0.5324  0.1307  1 S 1.50
O  0.2889  0.9676  0.6307  1 S 1.50
O  0.4182  0.7458  0.8619  1 S 1.45
O  0.4182  0.7542  0.3619  1 S 1.45
O  0.5818  0.2458  0.6381  1 S 1.45
O  0.5818  0.2542  0.1381  1 S 1.45
O  0.7111  0.0324  0.3693  1 S 1.50
O  0.7111  0.4676  0.8693  1 S 1.50
O  0.7874  0.0304  0.1310  1 S 1.50
O  0.7874  0.4696  0.6310  1 S 1.50
O  0.9200  0.2471  0.8610  1 S 1.45
O  0.9200  0.2529  0.3610  1 S 1.45


(2)
Cs4Sb2O5 | r²SCAN | relaxed

DFT total energy (eV per atom): -18.174
Magnetic moment (Bohr magnetons per cell): 0.00
Density (g/cm3): 4.7

a = 6.3746 Å, b = 6.3746 Å, c = 8.1630 Å
α = 97.61°, β = 97.61°, γ = 66.19°
Closest atoms and distances in Å follow each position.
Sites, in units of the cell vectors:
Cs  0.0000  0.0000  0.0000  4 O 3.10-3.30
Cs  0.0076  0.0076  0.5095  4 O 2.92-2.97
Cs  0.3326  0.3326  0.3487  6 O 3.15-3.26
Cs  0.6632  0.6632  0.6505  5 O 3.03-3.31
Sb  0.3585  0.3585  0.8369  3 O 1.92-2.01
Sb  0.6542  0.6542  0.1778  3 O 1.92-2.00
O  0.1669  0.5917  0.6941  1 Sb 1.92
O  0.3748  0.8016  0.2862  1 Sb 1.92
O  0.5375  0.5375  0.9602  2 Sb 2.00-2.01
O  0.5917  0.1669  0.6941  1 Sb 1.92
O  0.8016  0.3748  0.2862  1 Sb 1.92


(3)
Cs3SbO3 | r²SCAN | relaxed

DFT total energy (eV per atom): -18.645
Magnetic moment (Bohr magnetons per cell): 0.00
Density (g/cm3): 4.8

a = 9.2022 Å, b = 9.2022 Å, c = 9.2022 Å
α = 90.00°, β = 90.00°, γ = 90.00°
Closest atoms and distances in Å follow each position.
Sites, in units of the cell vectors:
Cs  0.0169  0.0169  0.0169  3 O 2.87
Cs  0.2223  0.2777  0.7223  6 O 3.11-3.19
Cs  0.2270  0.7270  0.7730  6 O 3.08-3.24
Cs  0.2730  0.2730  0.2730  6 O 3.08-3.24
Cs  0.2777  0.7223  0.2223  6 O 3.11-3.19
Cs  0.4831  0.9831  0.5169  3 O 2.87
Cs  0.5169  0.4831  0.9831  3 O 2.87
Cs  0.7223  0.2223  0.2777  6 O 3.11-3.19
Cs  0.7270  0.7730  0.2270  6 O 3.08-3.24
Cs  0.7730  0.2270  0.7270  6 O 3.08-3.24
Cs  0.7777  0.7777  0.7777  6 O 3.11-3.19
Cs  0.9831  0.5169  0.4831  3 O 2.87
Sb  0.0026  0.9974  0.4974  3 O 1.95
Sb  0.4974  0.0026  0.9974  3 O 1.95
Sb  0.5026  0.5026  0.5026  3 O 1.95
Sb  0.9974  0.4974  0.0026  3 O 1.95
O  0.0047  0.2060  0.4622  1 Sb 1.95
O  0.0378  0.9953  0.7060  1 Sb 1.95
O  0.2060  0.4622  0.0047  1 Sb 1.95
O  0.2940  0.5378  0.5047  1 Sb 1.95
O  0.4622  0.0047  0.2060  1 Sb 1.95
O  0.4953  0.7940  0.9622  1 Sb 1.95
O  0.5047  0.2940  0.5378  1 Sb 1.95
O  0.5378  0.5047  0.2940  1 Sb 1.95
O  0.7060  0.0378  0.9953  1 Sb 1.95
O  0.7940  0.9622  0.4953  1 Sb 1.95
O  0.9622  0.4953  0.7940  1 Sb 1.95
O  0.9953  0.7060  0.0378  1 Sb 1.95


(4)
CsSbO2 | r²SCAN | relaxed

DFT total energy (eV per atom): -17.352
Magnetic moment (Bohr magnetons per cell): 0.00
Density (g/cm3): 5.0

a = 6.4224 Å, b = 6.4224 Å, c = 5.5790 Å
α = 109.47°, β = 109.47°, γ = 101.54°
Closest atoms and distances in Å follow each position.
Sites, in units of the cell vectors:
Cs  0.1483  0.8517  0.7500  4 O 3.01-3.17
Cs  0.8517  0.1483  0.2500  4 O 3.01-3.17
Sb  0.4195  0.5805  0.2500  4 O 1.97-2.17
Sb  0.5805  0.4195  0.7500  4 O 1.97-2.17
O  0.2872  0.3724  0.7999  2 Sb 1.97-2.17
O  0.3724  0.2872  0.2999  2 Sb 1.97-2.17
O  0.6276  0.7128  0.7001  2 Sb 1.97-2.17
O  0.7128  0.6276  0.2001  2 Sb 1.97-2.17